! LiFeSiO4 (GGA+U, relaxed); values from VASP
! * corrected total energy (MP2020 scheme): -7.592 eV/atom
! * space-group type: P6_422
! * ΔE_f: -2507 meV per atom
! * calculated volume: 1223 Å³ per cell
&SYSTEM
  ibrav = 0, nat = 84, ntyp = 4
/
ATOMIC_SPECIES
Li 6.94 Li.upf
Fe 55.84 Fe.upf
Si 28.09 Si.upf
O 16.00 O.upf
CELL_PARAMETERS angstrom
10.875 0.000 0.000
-5.438 9.418 0.000
0.000 0.000 11.945
ATOMIC_POSITIONS crystal
Li 0.000 0.000 0.000
Li 0.000 0.000 0.333
Li 0.000 0.000 0.667
Li 0.000 0.500 0.159
Li 0.000 0.500 0.508
Li 0.000 0.500 0.833
Li 0.500 0.000 0.175
Li 0.500 0.000 0.500
Li 0.500 0.000 0.825
Li 0.500 0.500 0.167
Li 0.500 0.500 0.492
Li 0.500 0.500 0.841
Fe 0.000 0.250 0.333
Fe 0.000 0.750 0.333
Fe 0.250 0.000 0.000
Fe 0.250 0.250 0.667
Fe 0.251 0.503 0.000
Fe 0.251 0.749 0.667
Fe 0.497 0.749 0.333
Fe 0.503 0.251 0.333
Fe 0.749 0.251 0.667
Fe 0.749 0.497 0.000
Fe 0.750 0.000 0.000
Fe 0.750 0.750 0.667
Si 0.000 0.247 0.833
Si 0.000 0.753 0.833
Si 0.247 0.000 0.500
Si 0.247 0.247 0.167
Si 0.247 0.495 0.500
Si 0.247 0.753 0.167
Si 0.495 0.247 0.833
Si 0.505 0.753 0.833
Si 0.753 0.000 0.500
Si 0.753 0.247 0.167
Si 0.753 0.505 0.500
Si 0.753 0.753 0.167
O 0.078 0.193 0.743
O 0.078 0.884 0.924
O 0.097 0.402 0.432
O 0.097 0.695 0.235
O 0.104 0.397 0.898
O 0.104 0.707 0.768
O 0.116 0.193 0.257
O 0.116 0.922 0.409
O 0.193 0.078 0.591
O 0.193 0.116 0.076
O 0.199 0.585 0.582
O 0.199 0.615 0.085
O 0.293 0.397 0.102
O 0.293 0.896 0.565
O 0.305 0.402 0.568
O 0.305 0.903 0.098
O 0.385 0.585 0.418
O 0.385 0.801 0.248
O 0.397 0.104 0.435
O 0.397 0.293 0.232
O 0.402 0.097 0.902
O 0.402 0.305 0.765
O 0.415 0.615 0.915
O 0.415 0.801 0.752
O 0.585 0.199 0.752
O 0.585 0.385 0.915
O 0.598 0.695 0.765
O 0.598 0.903 0.902
O 0.603 0.707 0.232
O 0.603 0.896 0.435
O 0.615 0.199 0.248
O 0.615 0.415 0.418
O 0.695 0.097 0.098
O 0.695 0.598 0.568
O 0.707 0.104 0.565
O 0.707 0.603 0.102
O 0.801 0.385 0.085
O 0.801 0.415 0.582
O 0.807 0.884 0.076
O 0.807 0.922 0.591
O 0.884 0.078 0.409
O 0.884 0.807 0.257
O 0.896 0.293 0.768
O 0.896 0.603 0.898
O 0.903 0.305 0.235
O 0.903 0.598 0.432
O 0.922 0.116 0.924
O 0.922 0.807 0.743

! Li5FeSi2O8 (GGA+U, relaxed); values from VASP
! * corrected total energy (MP2020 scheme): -6.912 eV/atom
! * space-group type: C2
! * maximum piezoelectric response: 0.17 C/m²
! * ΔE_f: -2634 meV per atom
! * calculated volume: 173 Å³ per cell
&SYSTEM
  ibrav = 0, nat = 16, ntyp = 4
/
ATOMIC_SPECIES
Li 6.94 Li.upf
Fe 55.84 Fe.upf
Si 28.09 Si.upf
O 16.00 O.upf
CELL_PARAMETERS angstrom
3.680 -3.739 0.000
3.680 3.739 0.000
-0.036 0.000 6.297
ATOMIC_POSITIONS crystal
Li 0.000 0.000 0.000
Li 0.352 0.648 0.000
Li 0.509 0.120 0.237
Li 0.880 0.491 0.763
Li 0.984 0.016 0.500
Fe 0.358 0.642 0.500
Si 0.513 0.137 0.757
Si 0.863 0.487 0.243
O 0.378 0.018 0.965
O 0.385 0.004 0.535
O 0.457 0.454 0.740
O 0.546 0.543 0.260
O 0.821 0.119 0.750
O 0.881 0.179 0.250
O 0.982 0.622 0.035
O 0.996 0.615 0.465

! Li2FeSiO4 (GGA+U, relaxed); values from VASP
! * corrected total energy (MP2020 scheme): -7.241 eV/atom
! * ΔE_f: -2552 meV per atom
! * calculated volume: 363 Å³ per cell
&SYSTEM
  ibrav = 0, nat = 32, ntyp = 4
/
ATOMIC_SPECIES
O 16.00 O.upf
Fe 55.84 Fe.upf
Si 28.09 Si.upf
Li 6.94 Li.upf
CELL_PARAMETERS angstrom
7.440 0.000 0.000
3.720 -3.922 6.226
0.000 -7.843 0.000
ATOMIC_POSITIONS crystal
O 0.456 0.002 0.833
O 0.958 0.998 0.667
O 0.956 0.002 0.332
O 0.458 0.998 0.167
O 0.165 0.280 0.365
O 0.945 0.720 0.135
O 0.305 0.780 0.105
O 0.294 0.498 0.584
O 0.585 0.220 0.395
O 0.794 0.498 0.084
O 0.085 0.220 0.895
O 0.665 0.280 0.865
O 0.792 0.502 0.416
O 0.445 0.720 0.635
O 0.292 0.502 0.916
O 0.805 0.780 0.605
Fe 0.125 0.750 0.303
Fe 0.625 0.750 0.803
Fe 0.875 0.250 0.697
Fe 0.375 0.250 0.197
Si 0.930 0.500 0.250
Si 0.320 0.000 0.000
Si 0.820 0.000 0.500
Si 0.430 0.500 0.750
Li 0.625 0.750 0.435
Li 0.875 0.250 0.065
Li 0.375 0.250 0.565
Li 0.174 0.000 0.500
Li 0.576 0.500 0.250
Li 0.674 0.000 0.000
Li 0.076 0.500 0.750
Li 0.125 0.750 0.935

! Li2FeSiO4 (GGA+U, relaxed); values from VASP
! * corrected total energy (MP2020 scheme): -7.203 eV/atom
! * ΔE_f: -2515 meV per atom
! * calculated volume: 518 Å³ per cell
&SYSTEM
  ibrav = 0, nat = 48, ntyp = 4
/
ATOMIC_SPECIES
Si 28.09 Si.upf
Li 6.94 Li.upf
O 16.00 O.upf
Fe 55.84 Fe.upf
CELL_PARAMETERS angstrom
5.069 0.000 0.000
2.535 4.390 0.000
0.000 0.000 23.276
ATOMIC_POSITIONS crystal
Si 0.194 0.000 0.667
Si 0.000 0.806 0.000
Si 0.000 0.806 0.500
Si 0.806 0.194 0.833
Si 0.806 0.194 0.333
Si 0.194 0.000 0.167
Li 0.671 0.441 0.460
Li 0.329 0.112 0.540
Li 0.671 0.441 0.960
Li 0.112 0.559 0.874
Li 0.888 0.671 0.126
Li 0.559 0.329 0.207
Li 0.441 0.888 0.293
Li 0.888 0.671 0.626
Li 0.441 0.888 0.793
Li 0.329 0.112 0.040
Li 0.559 0.329 0.707
Li 0.112 0.559 0.374
O 0.885 0.677 0.446
O 0.438 0.885 0.112
O 0.148 0.711 0.186
O 0.323 0.115 0.721
O 0.148 0.711 0.686
O 0.859 0.289 0.148
O 0.885 0.677 0.946
O 0.438 0.885 0.613
O 0.141 0.148 0.852
O 0.562 0.323 0.387
O 0.323 0.115 0.221
O 0.289 0.852 0.481
O 0.852 0.859 0.314
O 0.115 0.562 0.554
O 0.711 0.141 0.019
O 0.677 0.438 0.279
O 0.289 0.852 0.981
O 0.711 0.141 0.519
O 0.562 0.323 0.888
O 0.859 0.289 0.648
O 0.677 0.438 0.779
O 0.115 0.562 0.054
O 0.852 0.859 0.814
O 0.141 0.148 0.352
Fe 0.455 0.000 0.917
Fe 0.000 0.546 0.250
Fe 0.000 0.546 0.750
Fe 0.546 0.454 0.083
Fe 0.455 0.000 0.417
Fe 0.546 0.454 0.583